DFT (PBE) results for an optimized crystal structure of SmSi2Ru2.

Values from the calculation:
- Formation enthalpy at 0 K: -4.514 eV/f.u.

Unit cell a=4.2088 b=4.2088 c=9.7235 alpha=90.00 beta=90.00 gamma=90.00
With the nearest neighbours (Å) after each atom.
Space group I4/mmm (No. 139)
Symmetry-distinct sites (fractional):
Sm (0.0000, 0.0000, 0.0000) (multiplicity 2)  8 Ru 3.22, 10 Si 3.25-3.56
Si (0.0000, 0.0000, 0.3662) (multiplicity 4)  4 Ru 2.39, 1 Si 2.60
Ru (0.0000, 0.5000, 0.2500) (multiplicity 4)  4 Si 2.39